# 1
The following is a PBE+U calculation of BaDyV4O12 after structural relaxation, from the Materials Project.

a b c (Å): 5.3940 5.3940 7.5547
angles (deg): 90.00 90.00 90.00
Closest atoms and distances in Å follow each position.
Fractional positions:
Ba: 0.0000 0.0000 0.0000  12 O 2.70-2.80
Dy: 0.5000 0.5000 0.5000  12 O 2.57-2.70
V: 0.0000 0.5000 0.2537  6 O 1.86-1.92
V: 0.0000 0.5000 0.7463  6 O 1.86-1.92
V: 0.5000 0.0000 0.2537  6 O 1.86-1.92
V: 0.5000 0.0000 0.7463  6 O 1.86-1.92
O: 0.0000 0.5000 0.0000  2 V 1.92
O: 0.0000 0.5000 0.5000  2 V 1.86
O: 0.2571 0.2571 0.2641  2 V 1.91
O: 0.2571 0.2571 0.7359  2 V 1.91
O: 0.2571 0.7429 0.2641  2 V 1.91
O: 0.2571 0.7429 0.7359  2 V 1.91
O: 0.5000 0.0000 0.0000  2 V 1.92
O: 0.5000 0.0000 0.5000  2 V 1.86
O: 0.7429 0.2571 0.2641  2 V 1.91
O: 0.7429 0.2571 0.7359  2 V 1.91
O: 0.7429 0.7429 0.2641  2 V 1.91
O: 0.7429 0.7429 0.7359  2 V 1.91

Summary:
Space group: No. 123
Density in g/cm3: 5.25
Formation enthalpy at 0 K in eV per atom: -2.58
Energy in eV per cell: -133.708



# 2
The following is a PBE+U calculation of V3NiO8 after structural relaxation, from the Materials Project.

a b c (Å): 6.3569 6.3569 6.4627
angles (deg): 106.14 106.14 34.52
Closest atoms and distances in Å follow each position.
Fractional positions:
V: 0.0000 0.0000 0.0000  4 O 1.71-1.91
V: 0.1052 0.1052 0.5830  6 O 1.81-2.02
V: 0.7992 0.7992 0.5578  2 O 1.65-1.77
Ni: 0.6951 0.6951 0.9747  6 O 1.98-2.19
O: 0.0416 0.0416 0.2928  2 V 1.81
O: 0.1484 0.1484 0.9102  2 Ni 1.98, 2 V 2.02-2.05
O: 0.2681 0.2681 0.5921  3 V 1.95-1.96
O: 0.5245 0.5245 0.9897  2 V 1.91, 1 Ni 2.10
O: 0.6436 0.6436 0.6200  3 V 1.94-2.04
O: 0.7657 0.7657 0.2922  1 V 1.65
O: 0.8529 0.8529 0.9298  1 V 1.71
O: 0.9515 0.9515 0.6407  1 V 1.77

Summary:
Space group: No. 8
ΔE to the lowest computed polymorph in meV/atom: 0
Density in g/cm3: 3.98
Formation enthalpy at 0 K in eV per atom: -2.15
Energy in eV per cell: -85.222



# 3
The following is a PBE+U calculation of MoO4 after structural relaxation, from the Materials Project.

a b c (Å): 10.2371 10.2371 3.7517
angles (deg): 90.50 90.50 20.98
Closest atoms and distances in Å follow each position.
Fractional positions:
Mo: 0.1009 0.1009 0.2599  6 O 1.91-1.97
Mo: 0.8991 0.8991 0.7401  6 O 1.91-1.97
O: 0.0053 0.6161 0.7341  1 O 1.45
O: 0.0812 0.0812 0.7617  2 Mo 1.91-1.93
O: 0.3839 0.9947 0.2659  1 O 1.45
O: 0.4302 0.4302 0.7377  2 Mo 1.97
O: 0.5698 0.5698 0.2623  2 Mo 1.97
O: 0.6161 0.0053 0.7341  1 O 1.45
O: 0.9188 0.9188 0.2383  2 Mo 1.91-1.93
O: 0.9947 0.3839 0.2659  1 O 1.45

Summary:
Space group: No. 12
ΔE to the lowest computed polymorph in meV/atom: 138
Density in g/cm3: 3.77
Formation enthalpy at 0 K in eV per atom: -0.93
Energy in eV per cell: -62.908



# 4
The following is a PBE+U calculation of Li9Mn2Co5O16 after structural relaxation, from the Materials Project.

a b c (Å): 4.9728 5.8804 9.7786
angles (deg): 81.39 86.19 89.97
Closest atoms and distances in Å follow each position.
Fractional positions:
Li: 0.0000 0.0000 0.0000  6 O 2.06-2.15
Li: 0.0010 0.5049 0.9988  6 O 2.01-2.20
Li: 0.2448 0.8712 0.5056  6 O 2.09-2.21
Li: 0.2456 0.3825 0.5048  6 O 2.08-2.20
Li: 0.3666 0.5685 0.7530  6 O 2.06-2.11
Li: 0.4895 0.2597 0.0015  6 O 2.07-2.21
Li: 0.4912 0.7458 0.9984  6 O 2.09-2.19
Li: 0.7328 0.6289 0.5078  6 O 2.01-2.20
Li: 0.7372 0.1223 0.5053  6 O 2.06-2.15
Mn: 0.3674 0.0587 0.7529  6 O 1.92-1.97
Mn: 0.8675 0.3241 0.7528  6 O 1.90-2.03
Co: 0.1173 0.1892 0.2526  6 O 1.93-2.08
Co: 0.1172 0.6896 0.2526  6 O 1.93-2.07
Co: 0.6178 0.9395 0.2524  6 O 1.93-2.08
Co: 0.6187 0.4389 0.2533  6 O 1.93-2.07
Co: 0.8671 0.8120 0.7529  6 O 1.94-2.00
O: 0.0236 0.5902 0.6427  1 Mn 1.90, 1 Co 1.94, 2 Li 2.01-2.07
O: 0.0515 0.0919 0.6451  2 Mn 1.94-2.03, 1 Co 2.00, 1 Li 2.13
O: 0.1765 0.2700 0.8630  2 Mn 1.93-1.97, 3 Li 2.07-2.13
O: 0.1791 0.8027 0.8632  1 Mn 1.92, 1 Co 1.94, 3 Li 2.06-2.10
O: 0.3170 0.4692 0.1346  3 Co 1.95-2.08, 3 Li 2.07-2.11
O: 0.3170 0.9683 0.1361  3 Co 1.93-2.07, 3 Li 2.12-2.15
O: 0.4183 0.1607 0.3694  3 Co 1.93-2.07, 3 Li 2.13-2.14
O: 0.4185 0.6596 0.3709  3 Co 1.94-2.08, 3 Li 2.08-2.11
O: 0.5551 0.8580 0.6422  1 Mn 1.92, 1 Co 1.95, 3 Li 2.06-2.10
O: 0.5592 0.3249 0.6427  2 Mn 1.93-1.97, 3 Li 2.08-2.12
O: 0.6828 0.0375 0.8607  2 Mn 1.94-2.03, 1 Co 2.00, 1 Li 2.14
O: 0.7112 0.5349 0.8631  1 Mn 1.90, 1 Co 1.94, 2 Li 2.01-2.08
O: 0.8155 0.2184 0.1360  3 Co 1.94-2.06, 3 Li 2.15-2.16
O: 0.8159 0.7182 0.1363  3 Co 1.93-2.06, 3 Li 2.13-2.16
O: 0.9200 0.4102 0.3693  3 Co 1.93-2.06, 2 Li 2.15
O: 0.9198 0.9101 0.3694  3 Co 1.94-2.06, 3 Li 2.12-2.15

Summary:
Space group: No. 1
ΔE to the lowest computed polymorph in meV/atom: 7
Density in g/cm3: 4.26
Formation enthalpy at 0 K in eV per atom: -1.86
Energy in eV per cell: -187.139